This record from the Materials Project describes a relaxed KNa3Al12H24S8O56 crystal. The functional is GGA-PBE.

Cell: 7.0539 12.0764 12.2180 Å, 70.29 90.00 90.00°
With the nearest neighbours (Å) after each atom.
Sites, in units of the cell vectors:
1 H 0.0000 0.3334 0.3589  1 O 0.98
2 O 0.8121 0.7072 0.3680  1 H 0.98
3 O 0.5000 0.4122 0.6960  1 S 1.47
4 O 0.1879 0.7072 0.3680  1 H 0.98
5 O 0.0000 0.7069 0.5563  1 H 0.98
6 O 0.3268 0.9141 0.9202  1 S 1.50
7 H 0.5000 0.6666 0.1410  1 O 0.98
8 O 0.0000 0.4141 0.7466  1 S 1.50
9 O 0.5000 0.7075 0.0564  1 H 0.98
10 O 0.6732 0.9141 0.9202  1 S 1.50
11 O 0.0000 0.0868 0.3045  1 S 1.47
12 H 0.5000 0.1674 0.6407  1 O 0.98
13 Al 0.0000 0.7498 0.2499  6 O 1.90-1.97
14 O 0.0000 0.5874 0.8042  1 S 1.47
15 H 0.0000 0.6666 0.6411  1 O 0.98
16 O 0.6898 0.7897 0.6334  1 H 0.98
17 S 0.0000 0.4585 0.8472  4 O 1.47-1.50
18 Na 0.0000 0.0000 0.0000  12 O 2.81-2.83, 6 H 3.06
19 O 0.3269 0.4147 0.4195  1 S 1.50
20 O 0.5000 0.9129 0.7479  1 S 1.50
21 O 0.1731 0.5859 0.0804  1 S 1.50
22 H 0.7053 0.1666 0.8463  1 O 0.98
23 Na 0.0000 0.5000 0.5000  12 O 2.81-2.84, 6 H 3.06
24 O 0.1727 0.0871 0.5806  1 S 1.50
25 H 0.2053 0.8326 0.6540  1 O 0.98
26 Al 0.2497 0.7487 0.5002  6 O 1.90-1.97
27 O 0.3268 0.0859 0.0798  1 S 1.50
28 S 0.0000 0.5415 0.1528  4 O 1.47-1.50
29 Al 0.2497 0.2513 0.4998  6 O 1.90-1.97
30 O 0.5000 0.9129 0.1958  1 S 1.47
31 H 0.7949 0.6665 0.8463  1 O 0.98
32 S 0.5000 0.0419 0.1522  4 O 1.47-1.50
33 Al 0.5000 0.2512 0.2492  6 O 1.90-1.97
34 K 0.5000 0.0000 0.5000  12 O 2.85, 6 H 3.06
35 H 0.5000 0.8326 0.3594  1 O 0.98
36 O 0.3102 0.7897 0.6334  1 H 0.98
37 O 0.8273 0.9129 0.4194  1 S 1.50
38 H 0.2053 0.1674 0.3460  1 O 0.98
39 O 0.1883 0.7924 0.1320  1 H 0.98
40 O 0.6884 0.7072 0.8685  1 H 0.98
41 O 0.5000 0.2925 0.9436  1 H 0.98
42 O 0.8121 0.2928 0.6320  1 H 0.98
43 H 0.7947 0.1674 0.3460  1 O 0.98
44 Al 0.5000 0.7488 0.7508  6 O 1.90-1.97
45 H 0.7053 0.8334 0.1537  1 O 0.98
46 O 0.3102 0.2103 0.3666  1 H 0.98
47 O 0.8273 0.0871 0.5806  1 S 1.50
48 O 0.5000 0.4146 0.2464  1 S 1.50
49 O 0.0000 0.2075 0.0564  1 H 0.98
50 O 0.8269 0.5859 0.0804  1 S 1.50
51 O 0.0000 0.9141 0.2459  1 S 1.50
52 S 0.5000 0.9581 0.8478  4 O 1.47-1.50
53 O 0.1879 0.2928 0.6320  1 H 0.98
54 O 0.6732 0.0859 0.0798  1 S 1.50
55 H 0.2051 0.6665 0.8463  1 O 0.98
56 O 0.1727 0.9129 0.4194  1 S 1.50
57 O 0.8269 0.4141 0.9196  1 S 1.50
58 Al 0.7500 0.2501 0.9999  6 O 1.90-1.97
59 H 0.0000 0.8334 0.8591  1 O 0.98
60 O 0.6731 0.4147 0.4195  1 S 1.50
61 O 0.8117 0.7924 0.1320  1 H 0.98
62 O 0.5000 0.5854 0.7536  1 S 1.50
63 Al 0.7503 0.2513 0.4998  6 O 1.90-1.97
64 O 0.5000 0.2104 0.5564  1 H 0.98
65 H 0.2948 0.6666 0.3461  1 O 0.98
66 O 0.1883 0.2076 0.8680  1 H 0.98
67 Al 0.0000 0.2502 0.7501  6 O 1.90-1.97
68 O 0.6898 0.2103 0.3666  1 H 0.98
69 O 0.0000 0.4126 0.1958  1 S 1.47
70 O 0.3269 0.5853 0.5805  1 S 1.50
71 H 0.5000 0.3334 0.8590  1 O 0.98
72 H 0.7949 0.3335 0.1537  1 O 0.98
73 O 0.5000 0.0871 0.8042  1 S 1.47
74 S 0.5000 0.4589 0.3470  4 O 1.47-1.50
75 O 0.5000 0.7896 0.4436  1 H 0.98
76 Al 0.2500 0.7499 0.0001  6 O 1.90-1.97
77 S 0.5000 0.5411 0.6530  4 O 1.47-1.50
78 H 0.7947 0.8326 0.6540  1 O 0.98
79 H 0.2948 0.3334 0.6539  1 O 0.98
80 O 0.5000 0.5878 0.3040  1 S 1.47
81 O 0.0000 0.7925 0.9436  1 H 0.98
82 Al 0.2500 0.2501 0.9999  6 O 1.90-1.97
83 O 0.5000 0.0871 0.2521  1 S 1.50
84 H 0.2947 0.1666 0.8463  1 O 0.98
85 O 0.0000 0.9132 0.6955  1 S 1.47
86 H 0.7052 0.3334 0.6539  1 O 0.98
87 O 0.0000 0.0859 0.7541  1 S 1.50
88 O 0.3116 0.2928 0.1315  1 H 0.98
89 O 0.1731 0.4141 0.9196  1 S 1.50
90 O 0.8117 0.2076 0.8680  1 H 0.98
91 Na 0.5000 0.5000 0.0000  12 O 2.81-2.84, 6 H 3.06
92 H 0.2947 0.8334 0.1537  1 O 0.98
93 S 0.0000 0.9578 0.3468  4 O 1.47-1.50
94 H 0.0000 0.1666 0.1409  1 O 0.98
95 S 0.0000 0.0422 0.6532  4 O 1.47-1.50
96 H 0.7052 0.6666 0.3461  1 O 0.98
97 Al 0.7503 0.7487 0.5002  6 O 1.90-1.97
98 Al 0.7500 0.7499 0.0001  6 O 1.90-1.97
99 O 0.3116 0.7072 0.8685  1 H 0.98
100 O 0.6884 0.2928 0.1315  1 H 0.98
101 O 0.0000 0.5859 0.2534  1 S 1.50
102 O 0.0000 0.2931 0.4437  1 H 0.98
103 H 0.2051 0.3335 0.1537  1 O 0.98
104 O 0.6731 0.5853 0.5805  1 S 1.50

Results
**Symmetry**: P2/m (10)
**ΔE_f**: -22089 kJ/mol of formula units
**Magnetic moment**: 0.01 μB per formula unit

---

This record from the Materials Project describes a relaxed ZrSeO crystal. The functional is GGA-PBE.

Cell: 5.8874 5.8874 5.8874 Å, 90.00 90.00 90.00°
With the nearest neighbours (Å) after each atom.
Sites, in units of the cell vectors:
1 O 0.3488 0.1512 0.8488  3 Zr 2.13
2 Zr 0.5780 0.4220 0.9220  3 O 2.13
3 Zr 0.9220 0.5780 0.4220  3 O 2.13
4 Zr 0.0780 0.0780 0.0780  3 O 2.13
5 O 0.6512 0.6512 0.6512  3 Zr 2.13
6 Se 0.1590 0.6590 0.8410  4 Zr 2.68-2.87
7 Se 0.3410 0.3410 0.3410  4 Zr 2.68-2.87
8 Se 0.6590 0.8410 0.1590  4 Zr 2.68-2.87
9 Zr 0.4220 0.9220 0.5780  3 O 2.13
10 O 0.8488 0.3488 0.1512  3 Zr 2.13
11 O 0.1512 0.8488 0.3488  3 Zr 2.13
12 Se 0.8410 0.1590 0.6590  4 Zr 2.68-2.87

Results
**Symmetry**: P2_13 (198)
**E above lowest polymorph**: 0 meV/atom
**Largest piezoelectric modulus**: 0.321 C/m²
**ΔE_f**: -734 kJ/mol of formula units
**Magnetic moment**: 0.00 μB per formula unit

---

This record from the Materials Project describes a relaxed ZnI6N4 crystal. The functional is GGA-PBE.

Cell: 8.5745 8.5745 16.1546 Å, 90.00 90.00 120.00°
With the nearest neighbours (Å) after each atom.
Sites, in units of the cell vectors:
1 Zn 0.0000 0.7226 0.8333  4 N 2.03-2.04
2 N 0.7037 0.2150 0.4591  1 Zn 2.04
3 I 0.8902 0.6567 0.2132  2 I 2.87-2.93
4 Zn 0.7226 0.0000 0.5000  4 N 2.03-2.04
5 N 0.5113 0.2963 0.1258  1 Zn 2.04
6 I 0.5891 0.4721 0.3234  1 I 2.87
7 I 0.1170 0.5279 0.6766  1 I 2.87
8 I 0.8830 0.4109 0.9901  1 I 2.87
9 I 0.1098 0.7665 0.4534  2 I 2.87-2.93
10 I 0.2335 0.3433 0.7868  2 I 2.87-2.93
11 I 0.7665 0.1098 0.8799  2 I 2.87-2.93
12 I 0.1802 0.8606 0.0939  1 I 2.93, 2 N 3.09-3.22
13 I 0.4109 0.8830 0.3433  1 I 2.87
14 Zn 0.2774 0.2774 0.1667  4 N 2.03-2.04
15 I 0.8198 0.6804 0.5728  1 I 2.93, 2 N 3.09-3.22
16 I 0.3196 0.1394 0.9061  1 I 2.93, 2 N 3.09-3.22
17 N 0.2963 0.5113 0.2075  1 Zn 2.04
18 I 0.3433 0.2335 0.5466  2 I 2.87-2.93
19 I 0.1394 0.3196 0.4272  1 I 2.93, 2 N 3.09-3.22
20 N 0.9353 0.8186 0.9350  1 Zn 2.03
21 N 0.1814 0.1167 0.2683  1 Zn 2.03
22 N 0.1167 0.1814 0.0650  1 Zn 2.03
23 N 0.7850 0.4887 0.7925  1 Zn 2.04
24 N 0.0647 0.8833 0.7317  1 Zn 2.03
25 N 0.4887 0.7850 0.5409  1 Zn 2.04
26 I 0.4721 0.5891 0.0099  1 I 2.87
27 N 0.8833 0.0647 0.6017  1 Zn 2.03
28 I 0.8606 0.1802 0.2395  1 I 2.93, 2 N 3.09-3.22
29 I 0.5279 0.1170 0.6567  1 I 2.87
30 I 0.6804 0.8198 0.7605  1 I 2.93, 2 N 3.09-3.22
31 N 0.8186 0.9353 0.3983  1 Zn 2.03
32 I 0.6567 0.8902 0.1201  2 I 2.87-2.93
33 N 0.2150 0.7037 0.8742  1 Zn 2.04

Results
**Symmetry**: P3_121 (152)
**ΔE_f**: 1645 kJ/mol of formula units
**Magnetic moment**: 10.00 μB per formula unit

---

This record from the Materials Project describes a relaxed As2O3 crystal. The functional is GGA-PBE.

Cell: 8.2619 8.2619 8.2619 Å, 60.00 60.00 60.00°
With the nearest neighbours (Å) after each atom.
Sites, in units of the cell vectors:
1 As 0.3489 0.3489 0.3489  3 O 1.83
2 As 0.3489 0.9532 0.3489  3 O 1.83
3 As 0.3489 0.3489 0.9532  3 O 1.83
4 As 0.9011 0.9011 0.9011  3 O 1.83
5 As 0.9532 0.3489 0.3489  3 O 1.83
6 O 0.0805 0.4195 0.0805  2 As 1.83
7 As 0.2968 0.9011 0.9011  3 O 1.83
8 O 0.8305 0.1695 0.1695  2 As 1.83
9 O 0.1695 0.1695 0.8305  2 As 1.83
10 As 0.9011 0.9011 0.2968  3 O 1.83
11 As 0.9011 0.2968 0.9011  3 O 1.83
12 O 0.1695 0.8305 0.1695  2 As 1.83
13 O 0.8305 0.1695 0.8305  2 As 1.83
14 O 0.1695 0.8305 0.8305  2 As 1.83
15 O 0.0805 0.0805 0.4195  2 As 1.83
16 O 0.8305 0.8305 0.1695  2 As 1.83
17 O 0.4195 0.0805 0.0805  2 As 1.83
18 O 0.4195 0.4195 0.0805  2 As 1.83
19 O 0.0805 0.4195 0.4195  2 As 1.83
20 O 0.4195 0.0805 0.4195  2 As 1.83

Results
**Symmetry**: Fd-3m (227)
**ΔE_f**: -781 kJ/mol of formula units

---

What is the ΔE_f in the fourth record?
-781 kJ/mol of formula units